NaYP4O12 | PBE | relaxed

The total energy comes out at -531.2 eV per cell. The magnetization comes out at 0.00 μB per formula unit.

Cell: 13.205 7.269 12.177 Å, 53.80 90.00 90.00°
Fractional coordinates of all 72 atoms:
O 0.791 0.670 0.606
O 0.419 0.289 0.295
O 0.081 0.289 0.795
O 0.888 0.807 0.906
O 0.875 0.906 0.664
O 0.887 0.373 0.202
O 0.113 0.627 0.798
O 0.634 0.477 0.348
O 0.866 0.477 0.848
O 0.709 0.670 0.106
O 0.387 0.627 0.298
O 0.813 0.778 0.354
O 0.134 0.523 0.152
O 0.852 0.101 0.104
O 0.333 0.796 0.799
O 0.209 0.330 0.394
O 0.581 0.711 0.705
O 0.375 0.094 0.836
O 0.352 0.899 0.396
O 0.388 0.193 0.594
O 0.520 0.645 0.139
O 0.612 0.807 0.406
O 0.163 0.652 0.585
O 0.648 0.101 0.604
O 0.167 0.796 0.299
O 0.663 0.348 0.915
O 0.313 0.222 0.146
O 0.366 0.523 0.652
O 0.625 0.906 0.164
O 0.488 0.073 0.210
O 0.112 0.193 0.094
O 0.687 0.778 0.854
O 0.148 0.899 0.896
O 0.512 0.927 0.790
O 0.480 0.355 0.861
O 0.187 0.222 0.646
O 0.988 0.927 0.290
O 0.125 0.094 0.336
O 0.337 0.652 0.085
O 0.613 0.373 0.702
O 0.667 0.204 0.201
O 0.837 0.348 0.415
O 0.980 0.645 0.639
O 0.833 0.204 0.701
O 0.291 0.330 0.894
O 0.012 0.073 0.710
O 0.919 0.711 0.205
O 0.020 0.355 0.361
P 0.615 0.888 0.737
P 0.897 0.994 0.755
P 0.128 0.345 0.302
P 0.592 0.436 0.797
P 0.885 0.888 0.237
P 0.628 0.655 0.198
P 0.385 0.112 0.263
P 0.103 0.006 0.245
P 0.115 0.112 0.763
P 0.397 0.006 0.745
P 0.872 0.655 0.698
P 0.603 0.994 0.255
P 0.908 0.436 0.297
P 0.092 0.564 0.703
P 0.372 0.345 0.802
P 0.408 0.564 0.203
Y 0.280 0.535 0.477
Y 0.780 0.465 0.023
Y 0.220 0.535 0.977
Y 0.720 0.465 0.523
Na 0.722 0.062 0.438
Na 0.222 0.938 0.062
Na 0.278 0.938 0.562
Na 0.778 0.062 0.938